--- one ---
## YMg14Sn (PBE)

Data for crystalline YMg14Sn at its relaxed geometry.

abc: 6.4606 6.4606 10.4989
angles: 90.00 90.00 120.00
Positions (direct):
Y 0.0000 0.0000 0.0000
Mg 0.0071 0.5035 0.0000
Mg 0.1668 0.3335 0.2514
Mg 0.1668 0.3335 0.7486
Mg 0.1668 0.8332 0.2514
Mg 0.1668 0.8332 0.7486
Mg 0.4965 0.5035 0.0000
Mg 0.4965 0.9929 0.0000
Mg 0.5016 0.0032 0.5000
Mg 0.5016 0.4984 0.5000
Mg 0.6665 0.8332 0.2514
Mg 0.6665 0.8332 0.7486
Mg 0.6667 0.3333 0.2430
Mg 0.6667 0.3333 0.7570
Mg 0.9968 0.4984 0.5000
Sn 0.0000 0.0000 0.5000

Summary:
Its space group is P-6m2 (187). The calculation puts the density at 2.4 Mg/m³.

--- two ---
## YMg14Sn (PBE)

Data for crystalline YMg14Sn at its relaxed geometry.

abc: 10.4332 6.5170 6.5170
angles: 58.40 90.00 90.00
Positions (direct):
Y 0.0000 0.0000 0.0000
Mg 0.0000 0.0028 0.4957
Mg 0.0000 0.4957 0.0028
Mg 0.2493 0.6652 0.6652
Mg 0.2564 0.1638 0.6633
Mg 0.2560 0.1653 0.1653
Mg 0.2564 0.6633 0.1638
Mg 0.5000 0.4993 0.4993
Mg 0.5000 0.4991 0.9970
Mg 0.5000 0.9970 0.4991
Mg 0.5000 0.9987 0.9987
Mg 0.7436 0.1638 0.6633
Mg 0.7440 0.1653 0.1653
Mg 0.7436 0.6633 0.1638
Mg 0.7507 0.6652 0.6652
Sn 0.0000 0.4952 0.4952

Summary:
Its space group is Amm2 (38). The calculation puts the density at 2.4 Mg/m³.

Which structure is most stable, and how do the rest compare? From most to least stable: two, one.

--- one ---
## Mg14ZnSn (PBE)

Data for crystalline Mg14ZnSn at its relaxed geometry.

abc: 6.3041 6.3041 10.3844
angles: 90.00 90.00 120.00
Positions (direct):
Mg 0.0000 0.0000 0.2483
Mg 0.0000 0.0000 0.7517
Mg 0.0016 0.5008 0.2450
Mg 0.0016 0.5008 0.7550
Mg 0.3332 0.1666 0.0000
Mg 0.3332 0.1666 0.5000
Mg 0.4992 0.5008 0.2450
Mg 0.4992 0.5008 0.7550
Mg 0.4992 0.9984 0.2450
Mg 0.4992 0.9984 0.7550
Mg 0.8334 0.1666 0.0000
Mg 0.8334 0.1666 0.5000
Mg 0.8334 0.6668 0.0000
Mg 0.8334 0.6668 0.5000
Zn 0.3333 0.6667 0.0000
Sn 0.3333 0.6667 0.5000

Summary:
Its space group is P-6m2 (187). The calculation puts the density at 2.4 Mg/m³.

--- two ---
## Mg14ZnSn (PBE)

Data for crystalline Mg14ZnSn at its relaxed geometry.

abc: 10.4298 6.3005 6.3005
angles: 60.26 90.00 90.00
Positions (direct):
Mg 0.0000 0.0000 0.0000
Mg 0.0000 0.0006 0.5001
Mg 0.0000 0.5001 0.0006
Mg 0.0000 0.4998 0.4998
Mg 0.2479 0.1670 0.1670
Mg 0.2503 0.1690 0.6655
Mg 0.2503 0.6655 0.1690
Mg 0.2501 0.6659 0.6659
Mg 0.5000 0.9999 0.5000
Mg 0.5000 0.5000 0.9999
Mg 0.7497 0.1690 0.6655
Mg 0.7497 0.6655 0.1690
Mg 0.7499 0.6659 0.6659
Mg 0.7521 0.1670 0.1670
Zn 0.5000 0.5005 0.5005
Sn 0.5000 0.0002 0.0002

Summary:
Its space group is Amm2 (38). The calculation puts the density at 2.4 Mg/m³.

Which structure is most stable, and how do the rest compare? From most to least stable: one, two.

--- one ---
## SrMg5 (PBE)

Data for crystalline SrMg5 at its relaxed geometry.

abc: 6.6557 6.6557 6.6557
angles: 51.57 51.57 51.57
Positions (direct):
Sr 0.0000 0.0000 0.0000
Mg 0.1728 0.8272 0.5000
Mg 0.3337 0.3337 0.3337
Mg 0.5000 0.1728 0.8272
Mg 0.6663 0.6663 0.6663
Mg 0.8272 0.5000 0.1728

Summary:
Its space group is R32 (155). The calculation puts the density at 2.1 Mg/m³.

--- two ---
## SrMg5 (PBE)

Data for crystalline SrMg5 at its relaxed geometry.

abc: 3.5220 3.5220 15.3772
angles: 90.00 90.00 120.00
Positions (direct):
Sr 0.0000 0.0000 0.0000
Mg 0.0000 0.0000 0.3459
Mg 0.0000 0.0000 0.6541
Mg 0.3333 0.6667 0.1928
Mg 0.3333 0.6667 0.5000
Mg 0.3333 0.6667 0.8072

Summary:
Its space group is P-6m2 (187). The calculation puts the density at 2.1 Mg/m³.

Which structure is most stable, and how do the rest compare? From most to least stable: one, two.

--- one ---
## SrMg5 (PBE)

Data for crystalline SrMg5 at its relaxed geometry.

abc: 5.3157 9.1243 9.1243
angles: 22.16 90.00 90.00
Positions (direct):
Sr 0.0000 0.0000 0.0000
Mg 0.0000 0.3241 0.3241
Mg 0.0000 0.6792 0.6792
Mg 0.5000 0.1330 0.1330
Mg 0.5000 0.4238 0.4238
Mg 0.5000 0.7813 0.7813

Summary:
Its space group is Amm2 (38). The calculation puts the density at 2.1 Mg/m³.

--- two ---
## SrMg5 (PBE)

Data for crystalline SrMg5 at its relaxed geometry.

abc: 6.1902 6.1902 5.0597
angles: 90.00 90.00 120.00
Positions (direct):
Sr 0.0000 0.0000 0.0000
Mg 0.0000 0.5000 0.5000
Mg 0.3333 0.6667 0.0000
Mg 0.5000 0.0000 0.5000
Mg 0.5000 0.5000 0.5000
Mg 0.6667 0.3333 0.0000

Summary:
Its space group is P6/mmm (191). The calculation puts the density at 2.1 Mg/m³.

Which structure is most stable, and how do the rest compare? From most to least stable: two, one.

--- one ---
## SrYMg14 (PBE)

Data for crystalline SrYMg14 at its relaxed geometry.

abc: 6.6917 6.6917 10.5469
angles: 90.00 90.00 120.00
Positions (direct):
Sr 0.0000 0.0000 0.0000
Y 0.0000 0.0000 0.5000
Mg 0.0060 0.5030 0.5000
Mg 0.0083 0.5042 0.0000
Mg 0.1726 0.3453 0.2549
Mg 0.1726 0.3453 0.7451
Mg 0.1726 0.8274 0.2549
Mg 0.1726 0.8274 0.7451
Mg 0.4958 0.5042 0.0000
Mg 0.4958 0.9917 0.0000
Mg 0.4970 0.5030 0.5000
Mg 0.4970 0.9940 0.5000
Mg 0.6547 0.8274 0.2549
Mg 0.6547 0.8274 0.7451
Mg 0.6667 0.3333 0.2491
Mg 0.6667 0.3333 0.7509

Summary:
Its space group is P-6m2 (187). The calculation puts the density at 2.1 Mg/m³.

--- two ---
## SrYMg14 (PBE)

Data for crystalline SrYMg14 at its relaxed geometry.

abc: 10.5858 6.6429 6.6429
angles: 60.07 90.00 90.00
Positions (direct):
Sr 0.0000 0.0000 0.0000
Y 0.0000 0.4971 0.4971
Mg 0.0000 0.0026 0.5034
Mg 0.0000 0.5034 0.0026
Mg 0.2511 0.6693 0.6693
Mg 0.2581 0.1733 0.1733
Mg 0.2619 0.1710 0.6599
Mg 0.2619 0.6599 0.1710
Mg 0.5000 0.0004 0.5014
Mg 0.5000 0.0019 0.0019
Mg 0.5000 0.5014 0.0004
Mg 0.5000 0.5025 0.5025
Mg 0.7381 0.1710 0.6599
Mg 0.7381 0.6599 0.1710
Mg 0.7419 0.1733 0.1733
Mg 0.7489 0.6693 0.6693

Summary:
Its space group is Amm2 (38). The calculation puts the density at 2.1 Mg/m³.

Which structure is most stable, and how do the rest compare? From most to least stable: one, two.

--- one ---
## SrMg14Zn (PBE)

Data for crystalline SrMg14Zn at its relaxed geometry.

abc: 10.5713 6.5134 6.5134
angles: 59.62 90.00 90.00
Positions (direct):
Sr 0.0000 0.0000 0.0000
Mg 0.0000 0.0155 0.4912
Mg 0.0000 0.4912 0.0155
Mg 0.2368 0.6591 0.6591
Mg 0.2597 0.1679 0.6536
Mg 0.2597 0.6536 0.1679
Mg 0.2634 0.1663 0.1663
Mg 0.5000 0.4972 0.4972
Mg 0.5000 0.4991 0.9924
Mg 0.5000 0.9924 0.4991
Mg 0.5000 0.9950 0.9950
Mg 0.7366 0.1663 0.1663
Mg 0.7403 0.1679 0.6536
Mg 0.7403 0.6536 0.1679
Mg 0.7632 0.6591 0.6591
Zn 0.0000 0.4781 0.4781

Summary:
Its space group is Amm2 (38). The calculation puts the density at 2.1 Mg/m³.

--- two ---
## SrMg14Zn (PBE)

Data for crystalline SrMg14Zn at its relaxed geometry.

abc: 6.4980 6.4980 10.5331
angles: 90.00 90.00 120.00
Positions (direct):
Sr 0.0000 0.0000 0.0000
Mg 0.0132 0.5066 0.0000
Mg 0.1672 0.3345 0.2669
Mg 0.1672 0.3345 0.7331
Mg 0.1672 0.8328 0.2669
Mg 0.1672 0.8328 0.7331
Mg 0.4934 0.5066 0.0000
Mg 0.4934 0.9868 0.0000
Mg 0.5024 0.0048 0.5000
Mg 0.5024 0.4976 0.5000
Mg 0.6655 0.8328 0.2669
Mg 0.6655 0.8328 0.7331
Mg 0.6667 0.3333 0.2436
Mg 0.6667 0.3333 0.7564
Mg 0.9952 0.4976 0.5000
Zn 0.0000 0.0000 0.5000

Summary:
Its space group is P-6m2 (187). The calculation puts the density at 2.1 Mg/m³.

Which structure is most stable, and how do the rest compare? From most to least stable: one, two.

--- one ---
## SrMg6Zr (PBE)

Data for crystalline SrMg6Zr at its relaxed geometry.

abc: 4.7559 6.5858 6.5858
angles: 88.92 90.00 90.00
Positions (direct):
Sr 0.0000 0.0000 0.0000
Mg 0.0000 0.0082 0.5000
Mg 0.0000 0.5000 0.0082
Mg 0.5000 0.2724 0.2724
Mg 0.5000 0.2753 0.7327
Mg 0.5000 0.7327 0.2753
Mg 0.5000 0.7340 0.7340
Zr 0.0000 0.5056 0.5056

Summary:
Its space group is Amm2 (38). The calculation puts the density at 2.6 Mg/m³.

--- two ---
## SrMg6Zr (PBE)

Data for crystalline SrMg6Zr at its relaxed geometry.

abc: 5.2755 6.9522 11.2142
angles: 90.00 90.00 90.00
Positions (direct):
Sr 0.5000 0.5000 0.1440
Sr 0.5000 0.0000 0.6440
Mg 0.0000 0.2300 0.0919
Mg 0.0000 0.7700 0.0919
Mg 0.0000 0.5000 0.8516
Mg 0.5000 0.2293 0.9033
Mg 0.5000 0.7707 0.9033
Mg 0.5000 0.5000 0.6600
Mg 0.0000 0.7300 0.5919
Mg 0.0000 0.2700 0.5919
Mg 0.0000 0.0000 0.3516
Mg 0.5000 0.7293 0.4033
Mg 0.5000 0.2707 0.4033
Mg 0.5000 0.0000 0.1600
Zr 0.0000 0.5000 0.3541
Zr 0.0000 0.0000 0.8541

Summary:
The calculation puts the density at 2.6 Mg/m³.

Which structure is most stable, and how do the rest compare? From most to least stable: one, two.

--- one ---
## Tm3Mg (PBE)

Data for crystalline Tm3Mg at its relaxed geometry.

abc: 6.9164 6.9164 5.4981
angles: 90.00 90.00 120.00
Positions (direct):
Tm 0.1687 0.3375 0.2500
Tm 0.1687 0.8313 0.2500
Tm 0.3375 0.1687 0.7500
Tm 0.6625 0.8313 0.2500
Tm 0.8313 0.1687 0.7500
Tm 0.8313 0.6625 0.7500
Mg 0.3333 0.6667 0.7500
Mg 0.6667 0.3333 0.2500

Summary:
Its space group is P6_3/mmc (194). The calculation puts the density at 7.7 Mg/m³.

--- two ---
## Tm3Mg (PBE)

Data for crystalline Tm3Mg at its relaxed geometry.

abc: 3.5285 3.5285 9.1705
angles: 90.00 90.00 90.00
Positions (direct):
Tm 0.0000 0.0000 0.0000
Tm 0.5000 0.5000 0.2591
Tm 0.5000 0.5000 0.7409
Mg 0.0000 0.0000 0.5000

Summary:
Its space group is P4/mmm (123). The calculation puts the density at 7.7 Mg/m³.

Which structure is most stable, and how do the rest compare? From most to least stable: two, one.

--- one ---
## Mg14VW (PBE)

Data for crystalline Mg14VW at its relaxed geometry.

abc: 6.2406 6.2406 9.9798
angles: 90.00 90.00 120.00
Positions (direct):
Mg 0.0000 0.0000 0.2499
Mg 0.0000 0.0000 0.7501
Mg 0.0145 0.5072 0.2456
Mg 0.0145 0.5072 0.7544
Mg 0.3351 0.1676 0.0000
Mg 0.3357 0.1678 0.5000
Mg 0.4928 0.5072 0.2456
Mg 0.4928 0.5072 0.7544
Mg 0.4928 0.9855 0.2456
Mg 0.4928 0.9855 0.7544
Mg 0.8324 0.1676 0.0000
Mg 0.8322 0.1678 0.5000
Mg 0.8322 0.6643 0.5000
Mg 0.8324 0.6649 0.0000
V 0.3333 0.6667 0.5000
W 0.3333 0.6667 0.0000

Summary:
Its space group is P-6m2 (187). The calculation puts the density at 2.8 Mg/m³.

--- two ---
## Mg14VW (PBE)

Data for crystalline Mg14VW at its relaxed geometry.

abc: 10.0127 6.2740 6.2740
angles: 58.15 90.00 90.00
Positions (direct):
Mg 0.0000 0.0000 0.0000
Mg 0.0000 0.0019 0.5008
Mg 0.0000 0.4993 0.4993
Mg 0.0000 0.5008 0.0019
Mg 0.2536 0.6613 0.6613
Mg 0.2582 0.1593 0.1593
Mg 0.2627 0.1659 0.6733
Mg 0.2627 0.6733 0.1659
Mg 0.5000 0.0014 0.5010
Mg 0.5000 0.5010 0.0014
Mg 0.7373 0.1659 0.6733
Mg 0.7373 0.6733 0.1659
Mg 0.7418 0.1593 0.1593
Mg 0.7464 0.6613 0.6613
V 0.5000 0.5018 0.5018
W 0.5000 0.0049 0.0049

Summary:
Its space group is Amm2 (38). The calculation puts the density at 2.9 Mg/m³.

Which structure is most stable, and how do the rest compare? From most to least stable: two, one.

--- one ---
## Mg6VW (PBE)

Data for crystalline Mg6VW at its relaxed geometry.

abc: 4.7354 5.9725 10.9709
angles: 90.00 90.00 90.00
Positions (direct):
Mg 0.0000 0.7390 0.0788
Mg 0.0000 0.2610 0.0788
Mg 0.0000 0.0000 0.3302
Mg 0.5000 0.2586 0.4227
Mg 0.5000 0.7414 0.4227
Mg 0.5000 0.0000 0.1696
Mg 0.0000 0.2390 0.5788
Mg 0.0000 0.7610 0.5788
Mg 0.0000 0.5000 0.8302
Mg 0.5000 0.7586 0.9227
Mg 0.5000 0.2414 0.9227
Mg 0.5000 0.5000 0.6696
V 0.0000 0.5000 0.3043
V 0.0000 0.0000 0.8043
W 0.5000 0.5000 0.1929
W 0.5000 0.0000 0.6929

Summary:
The calculation puts the density at 4.1 Mg/m³.

--- two ---
## Mg6VW (PBE)

Data for crystalline Mg6VW at its relaxed geometry.

abc: 4.9132 6.1539 6.1539
angles: 56.31 90.00 90.00
Positions (direct):
Mg 0.0000 0.0000 0.0000
Mg 0.0000 0.0225 0.5097
Mg 0.0000 0.4987 0.4987
Mg 0.0000 0.5097 0.0225
Mg 0.5000 0.3521 0.8508
Mg 0.5000 0.8508 0.3521
V 0.5000 0.8493 0.8493
W 0.5000 0.3534 0.3534

Summary:
Its space group is Amm2 (38). The calculation puts the density at 4.1 Mg/m³.

Which structure is most stable, and how do the rest compare? From most to least stable: one, two.